# VO2

A geometry-optimized VO2 structure (PBE+U, the Materials Project database).

a b c (Å): 7.1401 7.1401 7.1401
angles (deg): 24.19 24.19 24.19
Last column: nearest neighbours and their distance in Å.
Sites, in units of the cell vectors:
O (0.3792, 0.3792, 0.3792)  3 V 1.97
O (0.6208, 0.6208, 0.6208)  3 V 1.97
V (0.0000, 0.0000, 0.0000)  6 O 1.97

Values from the calculation:
The raw total energy comes out at -7.5168 eV/atom. The value obtained for the energy relative to the elements is -2.21 eV per atom. As for the space group: R-3m.



# V2O3

A geometry-optimized V2O3 structure (PBE+U, the Materials Project database).

a b c (Å): 3.7772 5.4808 12.0364
angles (deg): 90.00 90.00 71.76
Last column: nearest neighbours and their distance in Å.
Sites, in units of the cell vectors:
V (0.3879, 0.1729, 0.8410)  5 O 1.96-2.11
O (0.3194, 0.5414, 0.8062)  3 V 1.96-2.00
O (0.6807, 0.9586, 0.3062)  3 V 1.96-2.00
O (0.9303, 0.5860, 0.6083)  4 V 2.02-2.18
O (0.3257, 0.3185, 0.0049)  4 V 1.97-2.15
V (0.3879, 0.6729, 0.6590)  5 O 1.96-2.11
O (0.3194, 0.0414, 0.6938)  3 V 1.96-2.00
V (0.8401, 0.7886, 0.4502)  6 O 1.97-2.18
V (0.1599, 0.7114, 0.9502)  6 O 1.97-2.18
V (0.1599, 0.2114, 0.5498)  6 O 1.97-2.18
O (0.6807, 0.4586, 0.1938)  3 V 1.96-2.00
O (0.9303, 0.0860, 0.8917)  4 V 2.03-2.18
O (0.0697, 0.4140, 0.3917)  4 V 2.02-2.18
O (0.0697, 0.9140, 0.1083)  4 V 2.02-2.18
O (0.6743, 0.1815, 0.5050)  4 V 1.97-2.15
V (0.6122, 0.3272, 0.3410)  5 O 1.96-2.11
V (0.8401, 0.2886, 0.0498)  6 O 1.97-2.18
V (0.6122, 0.8272, 0.1590)  5 O 1.96-2.11
O (0.3257, 0.8185, 0.4951)  4 V 1.97-2.15
O (0.6743, 0.6815, 0.9950)  4 V 1.97-2.15

Values from the calculation:
The raw total energy comes out at -7.9493 eV/atom. The value obtained for the energy relative to the elements is -2.44 eV per atom. As for the space group: P2_1/c.



# V2O3

A geometry-optimized V2O3 structure (PBE+U, the Materials Project database).

a b c (Å): 5.1043 5.1059 5.5716
angles (deg): 63.36 88.29 119.20
Last column: nearest neighbours and their distance in Å.
Sites, in units of the cell vectors:
O (0.2560, 0.2086, 0.2430)  4 V 2.01-2.11
O (0.5668, 0.8181, 0.2482)  4 V 1.98-2.16
V (0.8472, 0.7032, 0.4486)  6 O 1.99-2.14
V (0.3509, 0.7096, 0.9489)  6 O 1.97-2.16
O (0.7480, 0.7989, 0.7527)  4 V 2.01-2.11
O (0.0541, 0.5065, 0.7426)  4 V 2.01-2.11
V (0.6532, 0.2977, 0.0470)  6 O 1.98-2.15
O (0.4370, 0.1890, 0.7480)  4 V 1.97-2.15
V (0.1567, 0.3041, 0.5473)  6 O 1.99-2.13
O (0.9498, 0.5009, 0.2532)  4 V 2.01-2.12

Values from the calculation:
The raw total energy comes out at -8.0253 eV/atom. The value obtained for the energy relative to the elements is -2.52 eV per atom. As for the space group: P-1.



# V4O7

A geometry-optimized V4O7 structure (PBE+U, the Materials Project database).

a b c (Å): 5.6594 6.7977 7.7051
angles (deg): 64.67 84.69 85.91
Last column: nearest neighbours and their distance in Å.
Sites, in units of the cell vectors:
O (0.1828, 0.3573, 0.6241)  1 V 1.76
O (0.3850, 0.1264, 0.0460)  2 V 1.87-1.89
O (0.2922, 0.7478, 0.3571)  3 V 1.89-2.00
O (0.0464, 0.2081, 0.3708)  1 V 1.83
V (0.1428, 0.5176, 0.3117)  5 O 1.91-2.13
V (0.3984, 0.6971, 0.9172)  4 O 1.81-2.02
V (0.2404, 0.9637, 0.4553)  3 O 1.83-1.94
O (0.4010, 0.9679, 0.6653)  3 V 1.94-2.15
O (0.9536, 0.7919, 0.6292)  1 V 1.83
V (0.6016, 0.3029, 0.0828)  4 O 1.81-2.02
O (0.8172, 0.6427, 0.3759)  1 V 1.76
V (0.5932, 0.7876, 0.2200)  3 O 1.76-1.89
V (0.7596, 0.0363, 0.5447)  3 O 1.83-1.94
O (0.5990, 0.0321, 0.3347)  3 V 1.94-2.15
V (0.8572, 0.4824, 0.6883)  5 O 1.91-2.13
O (0.8910, 0.3162, 0.9567)  2 V 1.81-1.91
O (0.6150, 0.8736, 0.9540)  2 V 1.87-1.89
O (0.5044, 0.5083, 0.8002)  2 V 1.90-2.12
O (0.4956, 0.4917, 0.1998)  2 V 1.90-2.12
O (0.7078, 0.2522, 0.6429)  3 V 1.89-2.00
O (0.1090, 0.6838, 0.0433)  2 V 1.81-1.91
V (0.4068, 0.2124, 0.7800)  3 O 1.76-1.89

Values from the calculation:
The raw total energy comes out at -7.7092 eV/atom. The value obtained for the energy relative to the elements is -2.31 eV per atom. As for the space group: P-1.



# VO2

A geometry-optimized VO2 structure (PBE+U, the Materials Project database).

a b c (Å): 7.2670 4.6202 9.0922
angles (deg): 78.78 90.00 90.00
Last column: nearest neighbours and their distance in Å.
Sites, in units of the cell vectors:
O (0.2262, 0.7633, 0.3583)  2 V 1.85-1.87
O (0.7738, 0.2367, 0.6417)  2 V 1.85-1.87
V (0.0000, 0.6556, 0.2932)  1 O 1.61
V (0.0000, 0.3444, 0.7068)  1 O 1.61
O (0.2262, 0.2367, 0.6417)  2 V 1.85-1.87
V (0.8127, 0.0000, 0.5000)  4 O 1.87-1.95
O (0.7738, 0.7633, 0.3583)  2 V 1.85-1.87
V (0.1873, 0.0000, 0.5000)  4 O 1.87-1.95
O (0.0000, 0.6828, 0.1135)  1 V 1.61
O (0.0000, 0.2470, 0.3836)  3 V 1.91-1.95
O (0.0000, 0.3172, 0.8865)  1 V 1.61
O (0.0000, 0.7530, 0.6164)  3 V 1.91-1.95

Values from the calculation:
The raw total energy comes out at -7.2783 eV/atom. The value obtained for the energy relative to the elements is -1.98 eV per atom. As for the space group: P2/m.



# VWO4

A geometry-optimized VWO4 structure (PBE+U, the Materials Project database).

a b c (Å): 4.5769 4.9997 11.8494
angles (deg): 90.56 89.97 90.31
Last column: nearest neighbours and their distance in Å.
Sites, in units of the cell vectors:
O (0.2368, 0.0783, 0.5611)  2 V 1.97-2.02, 1 W 2.01
O (0.2480, 0.5923, 0.9343)  1 W 1.93, 2 V 2.06-2.08
W (0.0010, 0.7513, 0.8213)  6 O 1.93-2.00
O (0.2220, 0.5843, 0.6970)  2 W 1.97-2.12, 1 V 2.05
O (0.7523, 0.9060, 0.4327)  1 W 1.90, 2 V 2.05-2.09
W (0.9964, 0.2476, 0.1783)  6 O 1.96-2.09
O (0.2629, 0.0715, 0.8131)  2 W 2.00-2.14, 1 V 2.05
V (0.5005, 0.7529, 0.0639)  6 O 1.99-2.08
O (0.7602, 0.4165, 0.5616)  2 V 1.98-2.02, 1 W 2.00
O (0.7797, 0.9129, 0.6967)  2 W 1.97-2.13, 1 V 2.05
W (0.4965, 0.7520, 0.3229)  6 O 1.90-2.10
O (0.2731, 0.5791, 0.1920)  1 V 2.04, 2 W 2.04-2.09
W (0.5004, 0.2485, 0.6772)  6 O 2.00-2.14
V (0.5033, 0.2539, 0.9377)  6 O 2.01-2.06
O (0.2282, 0.0712, 0.3068)  2 W 2.03-2.06, 1 V 2.06
V (0.0024, 0.7460, 0.5632)  6 O 1.97-2.09
O (0.7522, 0.9140, 0.9344)  1 W 1.93, 2 V 2.05-2.08
O (0.7708, 0.4191, 0.3046)  2 W 2.01-2.10, 1 V 2.09
O (0.7290, 0.9282, 0.1897)  2 W 2.01-2.10, 1 V 2.01
O (0.2439, 0.5784, 0.4368)  1 W 1.98, 2 V 1.98-2.04
V (0.0019, 0.2479, 0.4373)  6 O 1.98-2.09
O (0.7440, 0.4239, 0.0612)  2 V 1.99-2.01, 1 W 2.02
O (0.7393, 0.4303, 0.8129)  2 W 2.00-2.14, 1 V 2.04
O (0.2555, 0.0940, 0.0634)  1 W 1.96, 2 V 2.04-2.05

Values from the calculation:
Its energy above the most stable polymorph in this dataset is 0.290 kcal/mol of atoms. The raw total energy comes out at -7.7738 eV/atom. The value obtained for the energy relative to the elements is -2.28 eV per atom. As for the space group: P1.



# VWO4

A geometry-optimized VWO4 structure (PBE+U, the Materials Project database).

a b c (Å): 4.5799 4.9115 11.9824
angles (deg): 90.00 90.00 90.00
Last column: nearest neighbours and their distance in Å.
Sites, in units of the cell vectors:
O (0.2565, 0.0897, 0.0612)  1 W 1.96, 2 V 2.01-2.03
O (0.7442, 0.4105, 0.0612)  1 W 1.97, 2 V 2.00-2.02
O (0.2703, 0.0708, 0.8073)  2 W 2.01-2.10, 1 V 2.07
W (0.5001, 0.2523, 0.6752)  6 O 1.96-2.10
W (0.0000, 0.7519, 0.8239)  6 O 1.97-2.10
O (0.7703, 0.4291, 0.3073)  2 W 2.01-2.10, 1 V 2.07
O (0.2544, 0.5926, 0.9391)  1 W 1.97, 2 V 2.02
O (0.2452, 0.5897, 0.4392)  1 W 1.97, 2 V 2.01-2.03
V (0.5004, 0.2509, 0.9365)  6 O 2.01-2.07
O (0.2441, 0.0896, 0.5612)  1 W 1.97, 2 V 2.00-2.02
O (0.2295, 0.5684, 0.6926)  2 W 2.00-2.10, 1 V 2.07
W (0.0001, 0.2477, 0.1752)  6 O 1.96-2.10
O (0.7565, 0.4103, 0.5612)  1 W 1.96, 2 V 2.01-2.03
O (0.2299, 0.0672, 0.3078)  2 W 2.01-2.10, 1 V 2.07
O (0.7452, 0.9103, 0.9392)  1 W 1.97, 2 V 2.01-2.03
V (0.0003, 0.2490, 0.4366)  6 O 2.01-2.07
O (0.7544, 0.9074, 0.4391)  1 W 1.97, 2 V 2.02
O (0.2697, 0.5661, 0.1922)  2 W 2.00-2.10, 1 V 2.07
O (0.7299, 0.4328, 0.8078)  2 W 2.01-2.10, 1 V 2.07
V (0.5002, 0.7493, 0.0637)  6 O 2.00-2.07
O (0.7697, 0.9340, 0.6922)  2 W 2.00-2.10, 1 V 2.07
V (0.0002, 0.7508, 0.5638)  6 O 2.00-2.07
W (0.5000, 0.7481, 0.3239)  6 O 1.97-2.10
O (0.7294, 0.9316, 0.1926)  2 W 2.00-2.10, 1 V 2.07

Values from the calculation:
Its energy above the most stable polymorph in this dataset is 0.000 kcal/mol of atoms. The raw total energy comes out at -7.7864 eV/atom. The value obtained for the energy relative to the elements is -2.30 eV per atom. As for the space group: Pc.



# VWO4

A geometry-optimized VWO4 structure (PBE+U, the Materials Project database).

a b c (Å): 4.5826 4.9700 11.8940
angles (deg): 89.77 89.88 89.68
Last column: nearest neighbours and their distance in Å.
Sites, in units of the cell vectors:
V (0.0000, 0.2510, 0.4372)  6 O 2.01-2.07
O (0.2427, 0.5887, 0.4396)  1 W 2.00, 2 V 2.00-2.02
O (0.7201, 0.4172, 0.8030)  2 W 1.98-2.11, 1 V 2.06
O (0.7466, 0.4065, 0.0649)  1 W 1.92, 2 V 2.04-2.07
O (0.2310, 0.0686, 0.3096)  2 W 2.01-2.11, 1 V 2.06
O (0.2517, 0.0923, 0.5661)  1 W 1.93, 2 V 2.06-2.07
O (0.2726, 0.5653, 0.1945)  2 W 2.01-2.07, 1 V 2.09
O (0.7371, 0.9153, 0.9383)  2 V 1.98-2.02, 1 W 2.01
O (0.2784, 0.0831, 0.8031)  2 W 1.98-2.11, 1 V 2.06
O (0.7315, 0.9277, 0.1928)  2 W 2.04-2.06, 1 V 2.09
W (0.0001, 0.2519, 0.1758)  6 O 1.92-2.13
V (0.4988, 0.7488, 0.0627)  6 O 2.01-2.09
O (0.7693, 0.4348, 0.3109)  2 W 1.99-2.13, 1 V 2.05
O (0.7564, 0.9157, 0.4394)  1 W 2.00, 2 V 2.01
W (0.4996, 0.2507, 0.6784)  6 O 1.93-1.98
O (0.7612, 0.9326, 0.6865)  2 W 1.98-2.14, 1 V 2.05
O (0.7481, 0.4105, 0.5659)  1 W 1.93, 2 V 2.05-2.07
W (0.5015, 0.7506, 0.3221)  6 O 1.99-2.07
O (0.2555, 0.0855, 0.0631)  1 W 1.96, 2 V 2.01-2.04
V (0.9996, 0.7511, 0.5620)  6 O 2.00-2.06
W (0.9995, 0.7501, 0.8219)  6 O 2.01-2.14
O (0.2626, 0.5831, 0.9390)  2 V 1.97-2.01, 1 W 2.02
O (0.2379, 0.5696, 0.6868)  2 W 1.98-2.14, 1 V 2.05
V (0.4982, 0.2496, 0.9363)  6 O 1.97-2.07

Values from the calculation:
Its energy above the most stable polymorph in this dataset is 0.326 kcal/mol of atoms. The raw total energy comes out at -7.7723 eV/atom. The value obtained for the energy relative to the elements is -2.28 eV per atom. As for the space group: P1.